# 1
# CsMo2P3O13 (PBE+U, optimized geometry)
data_CsMo2P3O13
_space_group_name_H-M_alt 'P 1'
_space_group_IT_number 1
_cell_length_a 19.894
_cell_length_b 6.502
_cell_length_c 10.045
_cell_angle_alpha 73.03
_cell_angle_beta 90.00
_cell_angle_gamma 90.00
loop_
_space_group_symop_operation_xyz
'x,y,z'
loop_
_atom_site_label
_atom_site_fract_x
_atom_site_fract_y
_atom_site_fract_z
Cs1 0.086 0.733 0.996
Cs2 0.586 0.267 0.004
Cs3 0.255 0.715 0.366
Cs4 0.755 0.285 0.634
Mo1 0.967 0.439 0.389
Mo2 0.467 0.561 0.611
Mo3 0.254 0.355 0.070
Mo4 0.754 0.645 0.930
Mo5 0.209 0.060 0.631
Mo6 0.709 0.940 0.369
Mo7 0.928 0.142 0.947
Mo8 0.428 0.858 0.053
P1 0.123 0.236 0.309
P2 0.623 0.764 0.691
P3 0.268 0.901 0.968
P4 0.768 0.099 0.032
P5 0.176 0.510 0.722
P6 0.676 0.490 0.278
P7 0.055 0.260 0.707
P8 0.555 0.740 0.293
P9 0.911 0.598 0.043
P10 0.411 0.402 0.957
P11 0.001 0.985 0.299
P12 0.501 0.015 0.701
O1 0.004 0.336 0.589
O2 0.504 0.664 0.411
O3 0.886 0.432 0.444
O4 0.386 0.568 0.556
O5 0.993 0.748 0.381
O6 0.493 0.252 0.619
O7 0.948 0.547 0.184
O8 0.448 0.453 0.816
O9 0.074 0.408 0.326
O10 0.574 0.592 0.674
O11 0.175 0.160 0.425
O12 0.675 0.840 0.575
O13 0.082 0.022 0.307
O14 0.582 0.978 0.693
O15 0.159 0.312 0.167
O16 0.659 0.688 0.833
O17 0.334 0.419 0.935
O18 0.834 0.581 0.065
O19 0.299 0.290 0.222
O20 0.799 0.710 0.778
O21 0.246 0.675 0.060
O22 0.746 0.325 0.940
O23 0.195 0.453 0.875
O24 0.695 0.547 0.125
O25 0.248 0.049 0.057
O26 0.748 0.951 0.943
O27 0.223 0.958 0.838
O28 0.723 0.042 0.162
O29 0.212 0.378 0.638
O30 0.712 0.622 0.362
O31 0.184 0.748 0.640
O32 0.684 0.252 0.360
O33 0.096 0.473 0.712
O34 0.596 0.527 0.288
O35 0.290 0.058 0.578
O36 0.790 0.942 0.422
O37 0.105 0.095 0.687
O38 0.605 0.905 0.313
O39 0.021 0.178 0.850
O40 0.521 0.822 0.150
O41 0.843 0.084 0.073
O42 0.343 0.916 0.927
O43 0.883 0.218 0.796
O44 0.383 0.782 0.204
O45 0.934 0.824 0.955
O46 0.434 0.176 0.045
O47 0.983 0.039 0.145
O48 0.483 0.961 0.855
O49 0.939 0.444 0.964
O50 0.439 0.556 0.036
O51 0.966 0.126 0.377
O52 0.466 0.874 0.623
# Total energy = -538.98 eV for the cell shown
# Polymorph energy (0 for the lowest one) = 0 meV per atom
# V = 16.4 A^3/atom
# Total moment = 2.00 μB/f.u.
# Energy relative to the elements = -2.470 eV/atom

# 2
# K2MgFe2O4 (PBE+U, optimized geometry)
data_K2MgFe2O4
_space_group_name_H-M_alt 'P 1'
_space_group_IT_number 1
_cell_length_a 7.815
_cell_length_b 7.815
_cell_length_c 7.227
_cell_angle_alpha 55.85
_cell_angle_beta 124.15
_cell_angle_gamma 154.30
loop_
_space_group_symop_operation_xyz
'x,y,z'
loop_
_atom_site_label
_atom_site_fract_x
_atom_site_fract_y
_atom_site_fract_z
K1 0.260 0.741 0.734
K2 0.771 0.231 0.236
Mg1 0.556 0.445 0.670
Fe1 0.024 0.977 0.276
Fe2 0.957 0.044 0.801
O1 0.107 0.894 0.837
O2 0.410 0.592 0.608
O3 0.586 0.415 0.432
O4 0.899 0.102 0.984
# Total energy = -48.99 eV for the cell shown
# Polymorph energy (0 for the lowest one) = 0 meV per atom
# V = 17.4 A^3/atom
# Total moment = 8.00 μB/f.u.
# Energy relative to the elements = -1.744 eV/atom

# 3
# Mn2ZnO4 (PBE+U, optimized geometry)
data_Mn2ZnO4
_space_group_name_H-M_alt 'P 1'
_space_group_IT_number 1
_cell_length_a 6.074
_cell_length_b 6.074
_cell_length_c 6.074
_cell_angle_alpha 60.20
_cell_angle_beta 60.20
_cell_angle_gamma 60.20
loop_
_space_group_symop_operation_xyz
'x,y,z'
loop_
_atom_site_label
_atom_site_fract_x
_atom_site_fract_y
_atom_site_fract_z
Mn1 0.755 0.755 0.755
Mn2 0.875 0.375 0.375
Mn3 0.375 0.375 0.875
Mn4 0.375 0.875 0.375
Zn1 0.994 0.994 0.994
Zn2 0.375 0.375 0.375
O1 0.621 0.170 0.621
O2 0.621 0.621 0.170
O3 0.170 0.621 0.621
O4 0.619 0.619 0.619
O5 0.129 0.129 0.129
O6 0.585 0.128 0.128
O7 0.128 0.128 0.585
O8 0.128 0.585 0.128
# Total energy = -93.41 eV for the cell shown
# Polymorph energy (0 for the lowest one) = 66 meV per atom
# V = 11.4 A^3/atom
# Total moment = 8.00 μB/f.u.
# Energy relative to the elements = -1.916 eV/atom

# 4
# Ca2MoWO6 (PBE+U, optimized geometry)
data_Ca2MoWO6
_space_group_name_H-M_alt 'P 1'
_space_group_IT_number 1
_cell_length_a 5.757
_cell_length_b 5.536
_cell_length_c 9.709
_cell_angle_alpha 55.41
_cell_angle_beta 90.00
_cell_angle_gamma 90.00
loop_
_space_group_symop_operation_xyz
'x,y,z'
loop_
_atom_site_label
_atom_site_fract_x
_atom_site_fract_y
_atom_site_fract_z
Ca1 0.445 0.264 0.751
Ca2 0.945 0.736 0.749
Ca3 0.555 0.736 0.249
Ca4 0.055 0.264 0.251
Mo1 0.500 0.000 0.500
Mo2 0.000 0.000 0.000
W1 0.500 0.500 0.000
W2 0.000 0.500 0.500
O1 0.211 0.370 0.947
O2 0.711 0.630 0.553
O3 0.789 0.630 0.053
O4 0.289 0.370 0.447
O5 0.305 0.735 0.056
O6 0.805 0.265 0.444
O7 0.695 0.265 0.944
O8 0.195 0.735 0.556
O9 0.040 0.150 0.742
O10 0.540 0.850 0.758
O11 0.460 0.150 0.242
O12 0.960 0.850 0.258
# Total energy = -144.71 eV for the cell shown
# Polymorph energy (0 for the lowest one) = 0 meV per atom
# V = 12.7 A^3/atom
# Total moment = 4.00 μB/f.u.
# Energy relative to the elements = -2.661 eV/atom

# 5
# MgVCr2Fe3P6O24 (PBE+U, optimized geometry)
data_MgVCr2Fe3P6O24
_space_group_name_H-M_alt 'P 1'
_space_group_IT_number 1
_cell_length_a 8.689
_cell_length_b 8.753
_cell_length_c 8.675
_cell_angle_alpha 60.30
_cell_angle_beta 60.13
_cell_angle_gamma 62.76
loop_
_space_group_symop_operation_xyz
'x,y,z'
loop_
_atom_site_label
_atom_site_fract_x
_atom_site_fract_y
_atom_site_fract_z
Mg1 0.373 0.880 0.870
V1 0.535 0.156 0.154
Cr1 0.973 0.014 0.008
Cr2 0.499 0.495 0.506
Fe1 0.105 0.628 0.631
Fe2 0.749 0.751 0.753
Fe3 0.931 0.354 0.356
P1 0.232 0.254 0.545
P2 0.222 0.974 0.250
P3 0.246 0.537 0.961
P4 0.721 0.460 0.065
P5 0.744 0.052 0.759
P6 0.731 0.758 0.454
O1 0.056 0.113 0.334
O2 0.069 0.478 0.102
O3 0.062 0.346 0.487
O4 0.192 0.099 0.741
O5 0.405 0.169 0.398
O6 0.286 0.398 0.550
O7 0.189 0.969 0.092
O8 0.260 0.781 0.397
O9 0.566 0.630 0.003
O10 0.290 0.544 0.759
O11 0.720 0.275 0.086
O12 0.577 0.989 0.811
O13 0.406 0.028 0.165
O14 0.220 0.723 0.957
O15 0.714 0.442 0.254
O16 0.418 0.388 0.015
O17 0.740 0.236 0.596
O18 0.747 0.072 0.926
O19 0.716 0.597 0.442
O20 0.570 0.810 0.629
O21 0.741 0.925 0.266
O22 0.903 0.708 0.503
O23 0.898 0.506 0.890
O24 0.910 0.884 0.714
# Total energy = -267.90 eV for the cell shown
# Polymorph energy (0 for the lowest one) = 36 meV per atom
# V = 12.9 A^3/atom
# Total moment = 22.92 μB/f.u.
# Energy relative to the elements = -2.438 eV/atom

# 6
# Na4ThMo4O16 (PBE+U, optimized geometry)
data_Na4ThMo4O16
_space_group_name_H-M_alt 'P 1'
_space_group_IT_number 1
_cell_length_a 10.182
_cell_length_b 10.182
_cell_length_c 10.182
_cell_angle_alpha 110.82
_cell_angle_beta 110.82
_cell_angle_gamma 106.81
loop_
_space_group_symop_operation_xyz
'x,y,z'
loop_
_atom_site_label
_atom_site_fract_x
_atom_site_fract_y
_atom_site_fract_z
Na1 0.246 0.087 0.396
Na2 0.600 0.496 0.659
Na3 0.059 0.400 0.896
Na4 0.837 0.941 0.341
Na5 0.504 0.163 0.104
Na6 0.150 0.754 0.841
Na7 0.691 0.850 0.604
Na8 0.913 0.309 0.159
Th1 0.250 0.750 0.500
Th2 0.500 0.500 0.000
Mo1 0.814 0.585 0.412
Mo2 0.578 0.848 0.912
Mo3 0.172 0.402 0.588
Mo4 0.598 0.186 0.770
Mo5 0.936 0.665 0.088
Mo6 0.415 0.828 0.230
Mo7 0.335 0.422 0.270
Mo8 0.152 0.064 0.730
O1 0.216 0.019 0.885
O2 0.069 0.191 0.465
O3 0.599 0.771 0.052
O4 0.010 0.598 0.232
O5 0.348 0.616 0.089
O6 0.521 0.969 0.673
O7 0.769 0.383 0.303
O8 0.133 0.331 0.115
O9 0.024 0.646 0.965
O10 0.151 0.479 0.448
O11 0.229 0.281 0.827
O12 0.719 0.546 0.948
O13 0.031 0.704 0.552
O14 0.454 0.401 0.173
O15 0.981 0.867 0.197
O16 0.669 0.784 0.803
O17 0.527 0.260 0.911
O18 0.681 0.059 0.035
O19 0.809 0.274 0.878
O20 0.534 0.231 0.615
O21 0.726 0.604 0.535
O22 0.081 0.466 0.697
O23 0.402 0.634 0.411
O24 0.941 0.976 0.622
O25 0.223 0.990 0.589
O26 0.296 0.849 0.327
O27 0.354 0.319 0.378
O28 0.396 0.931 0.122
O29 0.366 0.777 0.768
O30 0.384 0.473 0.732
O31 0.740 0.652 0.268
O32 0.617 0.919 0.385
# Total energy = -342.73 eV for the cell shown
# V = 16.2 A^3/atom
# Total moment = 0.00 μB/f.u.
# Energy relative to the elements = -2.396 eV/atom

# 7
# CoHO2 (PBE+U, optimized geometry)
data_CoHO2
_space_group_name_H-M_alt 'P 1'
_space_group_IT_number 1
_cell_length_a 4.946
_cell_length_b 6.162
_cell_length_c 5.102
_cell_angle_alpha 94.85
_cell_angle_beta 95.05
_cell_angle_gamma 113.46
loop_
_space_group_symop_operation_xyz
'x,y,z'
loop_
_atom_site_label
_atom_site_fract_x
_atom_site_fract_y
_atom_site_fract_z
Co1 0.000 0.750 0.500
Co2 0.004 0.493 0.996
Co3 0.000 0.251 0.500
Co4 0.996 0.007 0.004
H1 0.461 0.111 0.747
H2 0.541 0.640 0.754
H3 0.458 0.860 0.246
H4 0.540 0.388 0.254
O1 0.227 0.052 0.709
O2 0.217 0.555 0.700
O3 0.226 0.802 0.206
O4 0.219 0.308 0.203
O5 0.781 0.194 0.795
O6 0.774 0.698 0.795
O7 0.784 0.944 0.299
O8 0.773 0.447 0.292
# Total energy = -88.56 eV for the cell shown
# V = 8.8 A^3/atom
# Total moment = 0.50 μB/f.u.
# Energy relative to the elements = -1.189 eV/atom

# 8
# Ca3Nb2CoO9 (PBE+U, optimized geometry)
data_Ca3Nb2CoO9
_space_group_name_H-M_alt 'P 1'
_space_group_IT_number 1
_cell_length_a 5.500
_cell_length_b 9.726
_cell_length_c 16.805
_cell_angle_alpha 55.71
_cell_angle_beta 90.00
_cell_angle_gamma 90.00
loop_
_space_group_symop_operation_xyz
'x,y,z'
loop_
_atom_site_label
_atom_site_fract_x
_atom_site_fract_y
_atom_site_fract_z
Ca1 0.486 0.451 0.400
Ca2 0.992 0.213 0.773
Ca3 0.014 0.451 0.900
Ca4 0.508 0.213 0.273
Ca5 0.982 0.877 0.432
Ca6 0.514 0.549 0.600
Ca7 0.492 0.787 0.727
Ca8 0.986 0.549 0.100
Ca9 0.482 0.123 0.068
Ca10 0.518 0.877 0.932
Ca11 0.018 0.123 0.568
Ca12 0.008 0.787 0.227
Nb1 0.010 0.827 0.840
Nb2 0.003 0.676 0.660
Nb3 0.990 0.173 0.160
Nb4 0.490 0.827 0.340
Nb5 0.997 0.324 0.340
Nb6 0.503 0.324 0.840
Nb7 0.510 0.173 0.660
Nb8 0.497 0.676 0.160
Co1 0.500 0.000 0.500
Co2 0.000 0.000 0.000
Co3 0.500 0.500 0.000
Co4 0.000 0.500 0.500
O1 0.808 0.120 0.410
O2 0.700 0.313 0.120
O3 0.298 0.221 0.412
O4 0.798 0.779 0.088
O5 0.810 0.659 0.947
O6 0.593 0.728 0.262
O7 0.702 0.779 0.588
O8 0.907 0.728 0.762
O9 0.899 0.065 0.095
O10 0.597 0.391 0.925
O11 0.202 0.221 0.912
O12 0.200 0.687 0.380
O13 0.292 0.014 0.219
O14 0.101 0.935 0.905
O15 0.192 0.880 0.590
O16 0.205 0.546 0.251
O17 0.300 0.687 0.880
O18 0.097 0.609 0.575
O19 0.792 0.986 0.281
O20 0.310 0.341 0.553
O21 0.690 0.659 0.447
O22 0.800 0.313 0.620
O23 0.093 0.272 0.238
O24 0.705 0.454 0.249
O25 0.795 0.454 0.749
O26 0.308 0.880 0.090
O27 0.399 0.935 0.405
O28 0.190 0.341 0.053
O29 0.708 0.986 0.781
O30 0.601 0.065 0.595
O31 0.903 0.391 0.425
O32 0.208 0.014 0.719
O33 0.295 0.546 0.751
O34 0.407 0.272 0.738
O35 0.403 0.609 0.075
O36 0.692 0.120 0.910
# Total energy = -463.45 eV for the cell shown
# V = 12.4 A^3/atom
# Total moment = 3.00 μB/f.u.
# Energy relative to the elements = -3.055 eV/atom